Record 1
# CsRbZr6BCl15

A geometry-optimized CsRbZr6BCl15 structure (PBE, Materials Project).

- DFT total energy (eV/cell) = -524.76
- SG = Pmma, No. 51
- calculated formation energy (eV/atom) = -2.20
- total magnetic moment (μB per formula unit) = 0.00

```
CsRbZr6BCl15
1.0
10.011 0.000 0.000
0.000 14.348 0.000
0.000 0.000 19.169
Zr Cl Rb Cs B
24 60 4 4 4
Direct
0.648 0.115 0.336 Zr
0.922 0.500 0.613 Zr
0.648 0.115 0.164 Zr
0.156 0.615 0.971 Zr
0.352 0.115 0.836 Zr
0.078 0.500 0.387 Zr
0.922 0.500 0.887 Zr
0.156 0.615 0.529 Zr
0.876 0.000 0.250 Zr
0.124 0.000 0.750 Zr
0.844 0.615 0.029 Zr
0.648 0.885 0.164 Zr
0.418 0.000 0.250 Zr
0.352 0.885 0.664 Zr
0.582 0.000 0.750 Zr
0.156 0.385 0.529 Zr
0.352 0.885 0.836 Zr
0.648 0.885 0.336 Zr
0.844 0.615 0.471 Zr
0.844 0.385 0.029 Zr
0.156 0.385 0.971 Zr
0.352 0.115 0.664 Zr
0.078 0.500 0.113 Zr
0.844 0.385 0.471 Zr
0.095 0.126 0.844 Cl
0.256 0.373 0.405 Cl
0.182 0.500 0.250 Cl
0.651 0.000 0.061 Cl
0.609 0.126 0.655 Cl
0.358 0.748 0.750 Cl
0.336 0.749 0.935 Cl
0.085 0.376 0.842 Cl
0.000 0.249 0.500 Cl
0.818 0.500 0.750 Cl
0.256 0.627 0.095 Cl
0.664 0.749 0.065 Cl
0.095 0.126 0.656 Cl
0.905 0.126 0.344 Cl
0.609 0.874 0.845 Cl
0.642 0.252 0.250 Cl
0.000 0.249 0.000 Cl
0.000 0.751 0.500 Cl
0.664 0.251 0.435 Cl
0.342 0.500 0.937 Cl
0.915 0.376 0.342 Cl
0.744 0.373 0.905 Cl
0.358 0.252 0.750 Cl
0.342 0.500 0.563 Cl
0.915 0.376 0.158 Cl
0.349 0.000 0.561 Cl
0.256 0.627 0.405 Cl
0.915 0.624 0.342 Cl
0.147 0.000 0.250 Cl
0.085 0.624 0.842 Cl
0.256 0.373 0.095 Cl
0.744 0.373 0.595 Cl
0.915 0.624 0.158 Cl
0.391 0.126 0.345 Cl
0.391 0.874 0.345 Cl
0.651 0.000 0.439 Cl
0.609 0.126 0.845 Cl
0.085 0.624 0.658 Cl
0.853 0.000 0.750 Cl
0.658 0.500 0.437 Cl
0.744 0.627 0.595 Cl
0.609 0.874 0.655 Cl
0.658 0.500 0.063 Cl
0.905 0.126 0.156 Cl
0.391 0.126 0.155 Cl
0.095 0.874 0.656 Cl
0.905 0.874 0.156 Cl
0.744 0.627 0.905 Cl
0.391 0.874 0.155 Cl
0.349 0.000 0.939 Cl
0.664 0.251 0.065 Cl
0.664 0.749 0.435 Cl
0.000 0.751 0.000 Cl
0.905 0.874 0.344 Cl
0.336 0.251 0.935 Cl
0.336 0.251 0.565 Cl
0.642 0.748 0.250 Cl
0.336 0.749 0.565 Cl
0.085 0.376 0.658 Cl
0.095 0.874 0.844 Cl
0.842 0.749 0.750 Rb
0.158 0.749 0.250 Rb
0.158 0.251 0.250 Rb
0.842 0.251 0.750 Rb
0.000 0.000 0.500 Cs
0.593 0.500 0.250 Cs
0.407 0.500 0.750 Cs
0.000 0.000 0.000 Cs
0.646 0.000 0.250 B
0.000 0.500 0.000 B
0.000 0.500 0.500 B
0.354 0.000 0.750 B
```

Record 2
# MgCu2B2H8Cl2O8

A geometry-optimized MgCu2B2H8Cl2O8 structure (PBE, Materials Project).

- DFT total energy (eV/cell) = -122.43
- SG = P2, No. 3
- calculated formation energy (eV/atom) = -1.49
- total magnetic moment (μB per formula unit) = 0.00

```
MgCu2B2H8Cl2O8
1.0
-3.423 3.843 -1.057
-3.453 -4.142 -3.877
-3.670 -1.837 5.208
H Mg Cu B O Cl
8 1 2 2 8 2
Direct
0.225 0.335 0.359 H
0.775 0.641 0.334 H
0.646 0.772 0.816 H
0.356 0.185 0.772 H
0.646 0.228 0.184 H
0.225 0.665 0.641 H
0.356 0.815 0.228 H
0.775 0.359 0.666 H
0.001 0.000 0.000 Mg
0.400 0.500 0.000 Cu
0.597 0.000 0.500 Cu
0.500 0.000 0.000 B
0.500 0.500 0.500 B
0.343 0.443 0.322 O
0.679 0.914 0.850 O
0.656 0.322 0.558 O
0.679 0.086 0.150 O
0.656 0.678 0.442 O
0.343 0.557 0.678 O
0.322 0.150 0.914 O
0.322 0.850 0.086 O
0.859 0.500 0.000 Cl
0.141 0.000 0.500 Cl
```

Record 3
# Cu3B7ClO13

A geometry-optimized Cu3B7ClO13 structure (PBE, Materials Project).

- DFT total energy (eV/cell) = -683.55
- SG = Pca2_1, No. 29
- calculated formation energy (eV/atom) = -2.27
- total magnetic moment (μB per formula unit) = 1.01

```
Cu3B7ClO13
1.0
-7.034 -4.171 -2.360
2.694 0.057 -8.132
5.635 -10.518 1.793
Cu B O Cl
12 28 52 4
Direct
0.250 0.742 0.119 Cu
0.250 0.758 0.619 Cu
0.529 0.485 0.343 Cu
0.029 0.984 0.345 Cu
0.750 0.258 0.619 Cu
0.750 0.242 0.119 Cu
0.471 0.985 0.343 Cu
0.971 0.484 0.345 Cu
0.471 0.515 0.843 Cu
0.029 0.516 0.845 Cu
0.529 0.015 0.843 Cu
0.971 0.016 0.845 Cu
0.254 0.256 0.348 B
0.749 0.907 0.022 B
0.251 0.043 0.993 B
0.749 0.543 0.993 B
0.251 0.093 0.522 B
0.594 0.747 0.676 B
0.749 0.593 0.522 B
0.997 0.001 0.595 B
0.905 0.747 0.677 B
0.251 0.457 0.493 B
0.003 0.501 0.595 B
0.497 0.501 0.595 B
0.003 0.999 0.095 B
0.503 0.001 0.595 B
0.406 0.247 0.676 B
0.095 0.253 0.177 B
0.254 0.244 0.848 B
0.251 0.407 0.022 B
0.905 0.753 0.177 B
0.503 0.499 0.095 B
0.749 0.957 0.493 B
0.746 0.744 0.848 B
0.997 0.499 0.095 B
0.406 0.253 0.176 B
0.497 0.999 0.095 B
0.095 0.247 0.677 B
0.746 0.756 0.348 B
0.594 0.753 0.176 B
0.978 0.166 0.114 O
0.831 0.880 0.411 O
0.588 0.540 0.991 O
0.169 0.380 0.411 O
0.670 0.640 0.420 O
0.978 0.334 0.614 O
0.529 0.169 0.615 O
0.863 0.824 0.779 O
0.911 0.551 0.499 O
0.137 0.176 0.279 O
0.169 0.120 0.911 O
0.337 0.533 0.076 O
0.588 0.960 0.491 O
0.440 0.088 0.191 O
0.330 0.360 0.920 O
0.911 0.949 0.999 O
0.830 0.459 0.072 O
0.137 0.324 0.779 O
0.375 0.169 0.780 O
0.170 0.541 0.572 O
0.022 0.666 0.114 O
0.670 0.860 0.920 O
0.412 0.040 0.991 O
0.337 0.967 0.576 O
0.089 0.449 0.999 O
0.412 0.460 0.491 O
0.170 0.959 0.072 O
0.249 0.231 0.606 O
0.089 0.051 0.499 O
0.330 0.140 0.420 O
0.375 0.331 0.280 O
0.663 0.033 0.076 O
0.958 0.587 0.696 O
0.625 0.831 0.280 O
0.529 0.331 0.115 O
0.471 0.669 0.615 O
0.958 0.913 0.196 O
0.560 0.912 0.691 O
0.863 0.676 0.279 O
0.625 0.669 0.780 O
0.751 0.769 0.106 O
0.831 0.620 0.911 O
0.663 0.467 0.576 O
0.471 0.831 0.115 O
0.042 0.413 0.196 O
0.440 0.412 0.691 O
0.830 0.041 0.572 O
0.042 0.087 0.696 O
0.022 0.834 0.614 O
0.560 0.588 0.191 O
0.249 0.269 0.106 O
0.751 0.731 0.606 O
0.751 0.224 0.834 Cl
0.751 0.276 0.334 Cl
0.249 0.776 0.334 Cl
0.249 0.724 0.834 Cl
```

Record 4
# Dy4BClO7

A geometry-optimized Dy4BClO7 structure (PBE, Materials Project).

- DFT total energy (eV/cell) = -418.79
- SG = P2_1/c, No. 14
- calculated formation energy (eV/atom) = -3.69
- total magnetic moment (μB per formula unit) = 0.00

```
Dy4BClO7
1.0
-0.420 -7.001 -3.996
8.540 0.301 -1.424
7.843 -5.075 8.067
O Dy Cl B
28 16 4 4
Direct
0.215 0.112 0.136 O
0.622 0.542 0.403 O
0.112 0.224 0.457 O
0.863 0.309 0.276 O
0.888 0.776 0.543 O
0.878 0.542 0.903 O
0.878 0.429 0.593 O
0.383 0.322 0.282 O
0.992 0.067 0.663 O
0.137 0.691 0.724 O
0.363 0.691 0.224 O
0.715 0.888 0.364 O
0.883 0.678 0.218 O
0.622 0.429 0.093 O
0.508 0.067 0.163 O
0.637 0.309 0.776 O
0.378 0.571 0.907 O
0.122 0.571 0.407 O
0.285 0.112 0.636 O
0.008 0.933 0.337 O
0.378 0.458 0.597 O
0.617 0.678 0.718 O
0.388 0.224 0.957 O
0.117 0.322 0.782 O
0.612 0.776 0.043 O
0.785 0.888 0.864 O
0.122 0.458 0.097 O
0.492 0.933 0.837 O
0.883 0.423 0.410 Dy
0.615 0.183 0.279 Dy
0.126 0.202 0.280 Dy
0.617 0.423 0.910 Dy
0.862 0.571 0.081 Dy
0.362 0.429 0.419 Dy
0.383 0.577 0.090 Dy
0.874 0.798 0.720 Dy
0.117 0.577 0.590 Dy
0.626 0.798 0.220 Dy
0.115 0.817 0.221 Dy
0.638 0.571 0.581 Dy
0.138 0.429 0.919 Dy
0.374 0.202 0.780 Dy
0.885 0.183 0.779 Dy
0.385 0.817 0.721 Dy
0.145 0.882 0.967 Cl
0.855 0.118 0.033 Cl
0.355 0.882 0.467 Cl
0.645 0.118 0.533 Cl
0.129 0.130 0.587 B
0.629 0.870 0.913 B
0.871 0.870 0.413 B
0.371 0.130 0.087 B
```

Record 5
# Er4BClO7

A geometry-optimized Er4BClO7 structure (PBE, Materials Project).

- DFT total energy (eV/cell) = -419.11
- SG = P2_1/c, No. 14
- calculated formation energy (eV/atom) = -3.70

```
Er4BClO7
1.0
-3.795 5.830 -3.968
-6.536 -0.523 5.483
-0.003 6.860 10.082
Cl Er O B
4 16 28 4
Direct
0.850 0.118 0.032 Cl
0.650 0.118 0.532 Cl
0.150 0.882 0.968 Cl
0.350 0.882 0.468 Cl
0.139 0.430 0.919 Er
0.861 0.570 0.081 Er
0.618 0.425 0.909 Er
0.614 0.182 0.279 Er
0.114 0.818 0.221 Er
0.125 0.202 0.279 Er
0.361 0.430 0.419 Er
0.639 0.570 0.581 Er
0.382 0.575 0.091 Er
0.875 0.798 0.721 Er
0.882 0.425 0.409 Er
0.375 0.202 0.779 Er
0.118 0.575 0.591 Er
0.386 0.818 0.721 Er
0.625 0.798 0.221 Er
0.886 0.182 0.779 Er
0.003 0.937 0.334 O
0.378 0.459 0.598 O
0.637 0.308 0.775 O
0.791 0.885 0.867 O
0.610 0.773 0.044 O
0.879 0.425 0.593 O
0.209 0.115 0.133 O
0.618 0.680 0.717 O
0.997 0.063 0.666 O
0.291 0.115 0.633 O
0.121 0.575 0.407 O
0.379 0.575 0.907 O
0.622 0.541 0.402 O
0.137 0.692 0.725 O
0.497 0.937 0.834 O
0.882 0.680 0.217 O
0.110 0.227 0.456 O
0.863 0.308 0.275 O
0.390 0.227 0.956 O
0.621 0.425 0.093 O
0.363 0.692 0.225 O
0.878 0.541 0.902 O
0.382 0.320 0.283 O
0.122 0.459 0.098 O
0.890 0.773 0.544 O
0.503 0.063 0.166 O
0.709 0.885 0.367 O
0.118 0.320 0.783 O
0.869 0.868 0.414 B
0.131 0.132 0.586 B
0.631 0.868 0.914 B
0.369 0.132 0.086 B
```

Record 6
# Er2B2Cl2O5

A geometry-optimized Er2B2Cl2O5 structure (PBE, Materials Project).

- DFT total energy (eV/cell) = -329.06
- SG = Pbam, No. 55
- calculated formation energy (eV/atom) = -3.16
- total magnetic moment (μB per formula unit) = 0.00

```
Er2B2Cl2O5
1.0
-3.106 -1.687 -3.933
8.035 -3.942 -4.655
-2.138 -12.866 7.206
O Er B Cl
20 8 8 8
Direct
0.500 0.744 0.181 O
0.500 0.256 0.819 O
0.500 0.563 0.276 O
0.500 0.367 0.012 O
0.500 0.713 0.841 O
0.500 0.133 0.512 O
0.500 0.437 0.724 O
0.500 0.372 0.536 O
0.500 0.872 0.964 O
0.500 0.128 0.036 O
0.500 0.867 0.488 O
0.500 0.063 0.224 O
0.500 0.937 0.776 O
0.500 0.756 0.681 O
0.500 0.287 0.159 O
0.500 0.213 0.659 O
0.500 0.633 0.988 O
0.500 0.244 0.319 O
0.500 0.628 0.464 O
0.500 0.787 0.341 O
0.500 0.969 0.621 Er
0.500 0.569 0.609 Er
0.500 0.531 0.121 Er
0.500 0.469 0.879 Er
0.500 0.031 0.379 Er
0.500 0.931 0.109 Er
0.500 0.431 0.391 Er
0.500 0.069 0.891 Er
0.500 0.745 0.935 B
0.500 0.255 0.065 B
0.500 0.302 0.733 B
0.500 0.698 0.267 B
0.500 0.802 0.767 B
0.500 0.198 0.233 B
0.500 0.755 0.435 B
0.500 0.245 0.565 B
0.000 0.413 0.390 Cl
0.000 0.507 0.131 Cl
0.000 0.007 0.369 Cl
0.000 0.913 0.110 Cl
0.000 0.587 0.610 Cl
0.000 0.087 0.890 Cl
0.000 0.493 0.869 Cl
0.000 0.993 0.631 Cl
```

Record 7
# Eu5B3ClO9

A geometry-optimized Eu5B3ClO9 structure (PBE, Materials Project).

- DFT total energy (eV/cell) = -335.65
- SG = C222_1, No. 20
- calculated formation energy (eV/atom) = -3.13
- total magnetic moment (μB per formula unit) = 35.00

```
Eu5B3ClO9
1.0
-1.029 2.234 -8.401
-7.667 0.589 4.183
1.476 7.095 1.706
O B Eu Cl
18 6 10 2
Direct
0.522 0.140 0.992 O
0.266 0.972 0.117 O
0.478 0.860 0.492 O
0.972 0.266 0.883 O
0.697 0.696 0.163 O
0.028 0.734 0.383 O
0.509 0.509 0.500 O
0.446 0.848 0.987 O
0.860 0.478 0.508 O
0.303 0.304 0.663 O
0.152 0.554 0.513 O
0.554 0.152 0.487 O
0.734 0.028 0.617 O
0.696 0.697 0.837 O
0.491 0.491 0.000 O
0.140 0.522 0.008 O
0.848 0.446 0.013 O
0.304 0.303 0.337 O
0.630 0.630 0.000 B
0.590 0.014 0.531 B
0.370 0.370 0.500 B
0.014 0.590 0.469 B
0.410 0.986 0.031 B
0.986 0.410 0.969 B
0.005 0.260 0.561 Eu
0.740 0.995 0.939 Eu
0.635 0.365 0.250 Eu
0.239 0.239 0.000 Eu
0.362 0.638 0.250 Eu
0.761 0.761 0.500 Eu
0.995 0.740 0.061 Eu
0.260 0.005 0.439 Eu
0.638 0.362 0.750 Eu
0.365 0.635 0.750 Eu
0.948 0.052 0.250 Cl
0.052 0.948 0.750 Cl
```